one | # CuPH6NO5, optimized geometry, DFT PBE
# Space group: No. 31
data_CuPH6NO5
_symmetry_space_group_name_H-M 'P 1'
_symmetry_Int_Tables_number 1
_cell_length_a 5.7609
_cell_length_b 8.7854
_cell_length_c 4.8416
_cell_angle_alpha 90.00
_cell_angle_beta 90.00
_cell_angle_gamma 90.00
loop_
_symmetry_equiv_pos_as_xyz
'x,y,z'
loop_
_atom_site_label
_atom_site_fract_x
_atom_site_fract_y
_atom_site_fract_z
_atom_site_occupancy
Cu1 0.0000 0.0223 0.0000 1
Cu2 0.5000 0.9777 0.5000 1
P1 0.0000 0.8117 0.4434 1
P2 0.5000 0.1883 0.9434 1
H1 0.0000 0.5433 0.7012 1
H2 0.0000 0.5455 0.0582 1
H3 0.1372 0.1861 0.4037 1
H4 0.1472 0.4084 0.8852 1
H5 0.3528 0.5916 0.3852 1
H6 0.3628 0.8139 0.9037 1
H7 0.5000 0.4545 0.5582 1
H8 0.5000 0.4567 0.2012 1
H9 0.6372 0.8139 0.9037 1
H10 0.6472 0.5916 0.3852 1
H11 0.8528 0.4084 0.8852 1
H12 0.8628 0.1861 0.4037 1
N1 0.0000 0.4758 0.8820 1
N2 0.5000 0.5242 0.3820 1
O1 0.0000 0.2042 0.2867 1
O2 0.0000 0.6368 0.3903 1
O3 0.0000 0.8360 0.7590 1
O4 0.2147 0.8883 0.2992 1
O5 0.2853 0.1117 0.7992 1
O6 0.5000 0.1640 0.2590 1
O7 0.5000 0.3632 0.8903 1
O8 0.5000 0.7958 0.7867 1
O9 0.7147 0.1117 0.7992 1
O10 0.7853 0.8883 0.2992 1



two | # CuPH6NO5, optimized geometry, DFT PBE
# Space group: No. 14
data_CuPH6NO5
_symmetry_space_group_name_H-M 'P 1'
_symmetry_Int_Tables_number 1
_cell_length_a 8.6952
_cell_length_b 7.6187
_cell_length_c 7.4449
_cell_angle_alpha 90.00
_cell_angle_beta 94.81
_cell_angle_gamma 90.00
loop_
_symmetry_equiv_pos_as_xyz
'x,y,z'
loop_
_atom_site_label
_atom_site_fract_x
_atom_site_fract_y
_atom_site_fract_z
_atom_site_occupancy
Cu1 0.0367 0.1963 0.0701 1
Cu2 0.0367 0.3037 0.5701 1
Cu3 0.9633 0.6963 0.4299 1
Cu4 0.9633 0.8037 0.9299 1
P1 0.1901 0.5497 0.1739 1
P2 0.1901 0.9503 0.6739 1
P3 0.8099 0.0497 0.3261 1
P4 0.8099 0.4503 0.8261 1
H1 0.2052 0.5537 0.6467 1
H2 0.2052 0.9463 0.1467 1
H3 0.2058 0.0673 0.3210 1
H4 0.2058 0.4327 0.8210 1
H5 0.3824 0.2128 0.5234 1
H6 0.3824 0.2872 0.0234 1
H7 0.4321 0.1244 0.8877 1
H8 0.4321 0.3756 0.3877 1
H9 0.4498 0.6751 0.4243 1
H10 0.4498 0.8249 0.9243 1
H11 0.4645 0.6841 0.1056 1
H12 0.4645 0.8159 0.6056 1
H13 0.5355 0.1841 0.3944 1
H14 0.5355 0.3159 0.8944 1
H15 0.5502 0.1751 0.0757 1
H16 0.5502 0.3249 0.5757 1
H17 0.5679 0.6244 0.6123 1
H18 0.5679 0.8756 0.1123 1
H19 0.6176 0.7128 0.9766 1
H20 0.6176 0.7872 0.4766 1
H21 0.7942 0.5673 0.1790 1
H22 0.7942 0.9327 0.6790 1
H23 0.7948 0.0537 0.8533 1
H24 0.7948 0.4463 0.3533 1
N1 0.4753 0.2268 0.9709 1
N2 0.4753 0.2732 0.4709 1
N3 0.5247 0.7268 0.5291 1
N4 0.5247 0.7732 0.0291 1
O1 0.0860 0.5094 0.3281 1
O2 0.0860 0.9906 0.8281 1
O3 0.1487 0.7287 0.0812 1
O4 0.1487 0.7713 0.5812 1
O5 0.1684 0.1014 0.5297 1
O6 0.1684 0.3986 0.0297 1
O7 0.2252 0.0690 0.1891 1
O8 0.2252 0.4310 0.6891 1
O9 0.3629 0.5539 0.2443 1
O10 0.3629 0.9461 0.7443 1
O11 0.6371 0.0539 0.2557 1
O12 0.6371 0.4461 0.7557 1
O13 0.7748 0.5690 0.3109 1
O14 0.7748 0.9310 0.8109 1
O15 0.8316 0.6014 0.9703 1
O16 0.8316 0.8986 0.4703 1
O17 0.8513 0.2287 0.4188 1
O18 0.8513 0.2713 0.9188 1
O19 0.9140 0.0094 0.1719 1
O20 0.9140 0.4906 0.6719 1



Most stable: two. Least stable: one.



one | # CuH2O2, optimized geometry, DFT PBE
# Space group: No. 9
data_CuH2O2
_symmetry_space_group_name_H-M 'P 1'
_symmetry_Int_Tables_number 1
_cell_length_a 5.8318
_cell_length_b 5.8318
_cell_length_c 5.2440
_cell_angle_alpha 90.70
_cell_angle_beta 90.70
_cell_angle_gamma 150.63
loop_
_symmetry_equiv_pos_as_xyz
'x,y,z'
loop_
_atom_site_label
_atom_site_fract_x
_atom_site_fract_y
_atom_site_fract_z
_atom_site_occupancy
Cu1 0.1781 0.8219 0.5000 1
Cu2 0.8219 0.1781 0.0000 1
H1 0.1919 0.9231 0.0199 1
H2 0.4750 0.5130 0.1444 1
H3 0.5130 0.4750 0.6444 1
H4 0.9231 0.1919 0.5199 1
O1 0.2203 0.8026 0.9270 1
O2 0.4230 0.5428 0.9772 1
O3 0.5428 0.4230 0.4772 1
O4 0.8026 0.2203 0.4270 1



two | # CuH2O2, optimized geometry, DFT PBE
# Space group: No. 36
data_CuH2O2
_symmetry_space_group_name_H-M 'P 1'
_symmetry_Int_Tables_number 1
_cell_length_a 5.4314
_cell_length_b 5.4314
_cell_length_c 5.6089
_cell_angle_alpha 90.00
_cell_angle_beta 90.00
_cell_angle_gamma 148.27
loop_
_symmetry_equiv_pos_as_xyz
'x,y,z'
loop_
_atom_site_label
_atom_site_fract_x
_atom_site_fract_y
_atom_site_fract_z
_atom_site_occupancy
Cu1 0.1817 0.8183 0.5000 1
Cu2 0.8183 0.1817 0.0000 1
H1 0.1166 0.8834 0.9705 1
H2 0.4814 0.5186 0.1723 1
H3 0.5186 0.4814 0.6723 1
H4 0.8834 0.1166 0.4705 1
O1 0.2044 0.7956 0.9084 1
O2 0.4472 0.5528 0.0083 1
O3 0.5528 0.4472 0.5083 1
O4 0.7956 0.2044 0.4084 1



Most stable: two. Least stable: one.